No. 1
VASP calculation (PBE) on Ba3Co3N5 after structural relaxation.

E (MP2020) in eV/atom: -6.70
Energy relative to the elements in eV/atom: -0.446
DFT total energy in eV per cell: -143.72

a = 6.367 Å, b = 7.835 Å, c = 8.605 Å
α = 68.52°, β = 70.56°, γ = 79.11°
Sites, in units of the cell vectors:
Ba: 0.027 0.216 0.271
Ba: 0.288 0.624 0.360
Ba: 0.351 0.924 0.888
Ba: 0.649 0.076 0.112
Ba: 0.712 0.376 0.640
Ba: 0.973 0.784 0.729
Co: 0.133 0.333 0.817
Co: 0.322 0.504 0.924
Co: 0.430 0.169 0.473
Co: 0.570 0.831 0.527
Co: 0.678 0.496 0.076
Co: 0.867 0.667 0.183
N: 0.140 0.587 0.089
N: 0.217 0.271 0.628
N: 0.332 0.261 0.945
N: 0.338 0.972 0.435
N: 0.456 0.661 0.725
N: 0.544 0.339 0.275
N: 0.662 0.028 0.565
N: 0.668 0.739 0.055
N: 0.783 0.729 0.372
N: 0.860 0.413 0.911

=====

No. 2
VASP calculation (PBE) on Ta2SnO7 after structural relaxation.

E (MP2020) in eV/atom: -9.02
Energy relative to the elements in eV/atom: -2.782
DFT total energy in eV per cell: -170.74

a = 8.725 Å, b = 8.725 Å, c = 5.214 Å
α = 96.26°, β = 96.26°, γ = 33.00°
Sites, in units of the cell vectors:
Ta: 0.065 0.609 0.697
Ta: 0.391 0.935 0.803
Ta: 0.609 0.065 0.197
Ta: 0.935 0.391 0.303
Sn: 0.227 0.773 0.250
Sn: 0.773 0.227 0.750
O: 0.069 0.093 0.525
O: 0.093 0.069 0.025
O: 0.134 0.314 0.663
O: 0.313 0.402 0.990
O: 0.314 0.134 0.163
O: 0.381 0.619 0.750
O: 0.402 0.313 0.490
O: 0.598 0.687 0.510
O: 0.619 0.381 0.250
O: 0.686 0.866 0.837
O: 0.687 0.598 0.010
O: 0.866 0.686 0.337
O: 0.907 0.931 0.975
O: 0.931 0.907 0.475

=====

No. 3
VASP calculation (PBE) on Ba2LaMgBiO6 after structural relaxation.

E (MP2020) in eV/atom: -6.59
Energy relative to the elements in eV/atom: -2.594
DFT total energy in eV per cell: -68.37
ΔE to the lowest computed polymorph in meV per atom: 100.9

a = 6.785 Å, b = 6.785 Å, c = 6.078 Å
α = 110.51°, β = 110.51°, γ = 55.08°
Sites, in units of the cell vectors:
Ba: 0.219 0.219 0.176
Ba: 0.781 0.781 0.824
La: 0.000 0.000 0.500
Mg: 0.500 0.500 0.500
Bi: 0.500 0.500 0.000
O: 0.176 0.652 0.213
O: 0.348 0.824 0.787
O: 0.351 0.351 0.614
O: 0.649 0.649 0.386
O: 0.652 0.176 0.213
O: 0.824 0.348 0.787

=====

No. 4
VASP calculation (PBE) on Er2InPd2 after structural relaxation.

Energy relative to the elements in eV/atom: -0.883
DFT total energy in eV per cell: -53.33

a = 7.705 Å, b = 7.705 Å, c = 3.680 Å
α = 90.00°, β = 90.00°, γ = 90.00°
Sites, in units of the cell vectors:
Er: 0.173 0.327 0.000
Er: 0.327 0.827 0.000
Er: 0.673 0.173 0.000
Er: 0.827 0.673 0.000
In: 0.000 0.000 0.500
In: 0.500 0.500 0.500
Pd: 0.128 0.628 0.500
Pd: 0.372 0.128 0.500
Pd: 0.628 0.872 0.500
Pd: 0.872 0.372 0.500

=====

No. 5
VASP calculation (PBE) on Ce2Br3N after structural relaxation.

E (MP2020) in eV/atom: -6.03
Energy relative to the elements in eV/atom: -1.844
DFT total energy in eV per cell: -286.56

a = 12.055 Å, b = 12.055 Å, c = 12.055 Å
α = 104.43°, β = 104.43°, γ = 120.11°
Sites, in units of the cell vectors:
Ce: 0.109 0.368 0.079
Ce: 0.124 0.227 0.345
Ce: 0.132 0.711 0.741
Ce: 0.211 0.970 0.579
Ce: 0.273 0.118 0.897
Ce: 0.279 0.624 0.397
Ce: 0.382 0.779 0.155
Ce: 0.470 0.391 0.759
Ce: 0.530 0.609 0.241
Ce: 0.618 0.221 0.845
Ce: 0.721 0.376 0.603
Ce: 0.727 0.882 0.103
Ce: 0.789 0.030 0.421
Ce: 0.868 0.289 0.259
Ce: 0.876 0.773 0.655
Ce: 0.891 0.632 0.921
Br: 0.012 0.932 0.164
Br: 0.030 0.622 0.441
Br: 0.089 0.530 0.909
Br: 0.122 0.181 0.591
Br: 0.226 0.902 0.015
Br: 0.268 0.847 0.336
Br: 0.289 0.274 0.176
Br: 0.319 0.411 0.941
Br: 0.347 0.512 0.580
Br: 0.387 0.211 0.485
Br: 0.402 0.887 0.676
Br: 0.432 0.768 0.920
Br: 0.568 0.232 0.080
Br: 0.598 0.113 0.324
Br: 0.613 0.789 0.515
Br: 0.653 0.488 0.420
Br: 0.681 0.589 0.059
Br: 0.711 0.726 0.824
Br: 0.732 0.153 0.664
Br: 0.774 0.098 0.985
Br: 0.878 0.819 0.409
Br: 0.911 0.470 0.091
Br: 0.970 0.378 0.559
Br: 0.988 0.068 0.836
N: 0.093 0.378 0.273
N: 0.122 0.895 0.715
N: 0.320 0.593 0.215
N: 0.395 0.180 0.773
N: 0.605 0.820 0.227
N: 0.680 0.407 0.785
N: 0.878 0.105 0.285
N: 0.907 0.622 0.727

=====

No. 6
VASP calculation (PBE) on Ho2InAg after structural relaxation.

Energy relative to the elements in eV/atom: -0.399
DFT total energy in eV per cell: -16.34
ΔE to the lowest computed polymorph in meV per atom: 0.0

a = 5.232 Å, b = 5.232 Å, c = 5.232 Å
α = 60.00°, β = 60.00°, γ = 60.00°
Sites, in units of the cell vectors:
Ho: 0.250 0.250 0.250
Ho: 0.750 0.750 0.750
In: 0.000 0.000 0.000
Ag: 0.500 0.500 0.500

=====

No. 7
VASP calculation (PBE) on Np2SO9 after structural relaxation.

E (MP2020) in eV/atom: -8.93
Energy relative to the elements in eV/atom: -2.712
DFT total energy in eV per cell: -403.68

a = 15.981 Å, b = 6.938 Å, c = 6.638 Å
α = 90.00°, β = 90.00°, γ = 90.00°
Sites, in units of the cell vectors:
Np: 0.103 0.250 0.194
Np: 0.155 0.750 0.972
Np: 0.345 0.250 0.472
Np: 0.397 0.750 0.694
Np: 0.603 0.250 0.306
Np: 0.655 0.750 0.528
Np: 0.845 0.250 0.028
Np: 0.897 0.750 0.806
S: 0.066 0.750 0.435
S: 0.434 0.250 0.935
S: 0.566 0.750 0.065
S: 0.934 0.250 0.565
O: 0.003 0.750 0.920
O: 0.023 0.250 0.504
O: 0.083 0.581 0.301
O: 0.083 0.919 0.301
O: 0.123 0.750 0.609
O: 0.150 0.020 0.952
O: 0.150 0.480 0.952
O: 0.208 0.250 0.302
O: 0.234 0.750 0.173
O: 0.266 0.250 0.673
O: 0.292 0.750 0.802
O: 0.350 0.520 0.452
O: 0.350 0.980 0.452
O: 0.377 0.250 0.109
O: 0.417 0.081 0.801
O: 0.417 0.419 0.801
O: 0.477 0.750 0.004
O: 0.497 0.250 0.420
O: 0.503 0.750 0.580
O: 0.523 0.250 0.996
O: 0.583 0.581 0.199
O: 0.583 0.919 0.199
O: 0.623 0.750 0.891
O: 0.650 0.020 0.548
O: 0.650 0.480 0.548
O: 0.708 0.250 0.198
O: 0.734 0.750 0.327
O: 0.766 0.250 0.827
O: 0.792 0.750 0.698
O: 0.850 0.520 0.048
O: 0.850 0.980 0.048
O: 0.877 0.250 0.391
O: 0.917 0.081 0.699
O: 0.917 0.419 0.699
O: 0.977 0.750 0.496
O: 0.997 0.250 0.080

=====

No. 8
VASP calculation (PBE) on ZnFeMo12S16 after structural relaxation.

E (MP2020) in eV/atom: -7.75
Energy relative to the elements in eV/atom: -0.878
DFT total energy in eV per cell: -224.35

a = 8.934 Å, b = 8.934 Å, c = 8.934 Å
α = 64.03°, β = 64.03°, γ = 64.03°
Sites, in units of the cell vectors:
Zn: 0.000 0.000 0.000
Fe: 0.500 0.500 0.500
Mo: 0.039 0.178 0.370
Mo: 0.130 0.460 0.322
Mo: 0.178 0.370 0.039
Mo: 0.322 0.130 0.460
Mo: 0.370 0.039 0.178
Mo: 0.460 0.322 0.130
Mo: 0.540 0.678 0.870
Mo: 0.630 0.961 0.822
Mo: 0.678 0.870 0.540
Mo: 0.822 0.630 0.961
Mo: 0.870 0.540 0.678
Mo: 0.961 0.822 0.630
S: 0.014 0.256 0.610
S: 0.108 0.108 0.108
S: 0.113 0.515 0.753
S: 0.247 0.887 0.485
S: 0.256 0.610 0.014
S: 0.390 0.986 0.744
S: 0.393 0.393 0.393
S: 0.485 0.247 0.887
S: 0.515 0.753 0.113
S: 0.607 0.607 0.607
S: 0.610 0.014 0.256
S: 0.744 0.390 0.986
S: 0.753 0.113 0.515
S: 0.887 0.485 0.247
S: 0.892 0.892 0.892
S: 0.986 0.744 0.390